A relaxed Ti3O crystal. Source: the Materials Project, functional PBE-GGA.

Summary:
Symmetry: P6_3/mcm, No. 193
E_form: -1462 meV/atom
E: -0.31049 hartree per atom

Unit cell a=5.1268 b=5.1268 c=4.9112 alpha=90.00 beta=90.00 gamma=120.00
Last column: nearest neighbours and their distance in Å.
Fractional coordinates of all 8 atoms:
Ti 0.3297 0.0000 0.2500  2 O 2.09
Ti 0.6703 0.0000 0.7500  2 O 2.09
Ti 0.6703 0.6703 0.2500  2 O 2.09
Ti 0.0000 0.6703 0.7500  2 O 2.09
Ti 0.0000 0.3297 0.2500  2 O 2.09
Ti 0.3297 0.3297 0.7500  2 O 2.09
O 0.0000 0.0000 0.0000  6 Ti 2.09
O 0.0000 0.0000 0.5000  6 Ti 2.09